No. 1
Compound: Fe6O5F7
Source: the Materials Project
Functional: PBE+U
Structure: optimized geometry

The structure in extended XYZ format:
```
18
Lattice="4.768 0.000 0.000 0.243 5.690 0.000 0.255 0.648 7.841" Properties=species:S:1:pos:R:3 pbc="T T T"
Fe 0.000 0.000 0.000
Fe 0.286 4.071 2.493
Fe 0.537 2.385 5.149
Fe 2.591 3.610 7.698
Fe 2.649 5.257 5.236
Fe 2.557 1.233 2.578
O 1.040 0.821 6.088
O 1.156 4.146 0.773
O 1.175 2.450 3.290
O 1.781 3.588 6.002
O 4.114 5.719 1.801
F 1.741 5.335 3.303
F 1.552 1.310 0.756
F 3.483 1.212 4.380
F 3.484 2.846 1.723
F 3.775 5.147 7.087
F 4.085 2.391 7.075
F 4.173 3.994 4.345
```

Results
Crystal system: triclinic
Formation energy in kcal/mol of atoms: -48.362
Spin magnetization in μB/atom: 1.611
ρ in g/cm³: 4.28
Electronic total energy in Ha/atom: -0.21745
Relative energy among the computed polymorphs in meV per atom: 15

No. 2
Compound: Fe2OF3
Source: the Materials Project
Functional: PBE+U
Structure: optimized geometry

The structure in extended XYZ format:
```
12
Lattice="-3.463 3.357 3.118 3.463 -3.357 3.118 3.463 3.357 -3.118" Properties=species:S:1:pos:R:3 pbc="T T T"
Fe 1.731 5.027 1.567
Fe 1.731 1.427 0.000
Fe -1.731 1.688 1.567
Fe 1.731 1.931 3.118
O 5.194 0.555 -0.015
O -1.731 2.802 3.103
F 1.731 -0.237 3.107
F 0.301 1.680 1.547
F 3.162 1.680 1.547
F 1.731 3.595 -0.011
F -0.301 5.035 1.547
F 0.301 1.678 4.665
```

Results
Crystal system: orthorhombic
Formation energy in kcal/mol of atoms: -53.155
Spin magnetization in μB/atom: 0.000
ρ in g/cm³: 4.23
Electronic total energy in Ha/atom: -0.21362
Relative energy among the computed polymorphs in meV per atom: 16

No. 3
Compound: Fe2OF3
Source: the Materials Project
Functional: PBE+U
Structure: optimized geometry

The structure in extended XYZ format:
```
12
Lattice="5.737 0.000 0.000 -2.223 5.305 0.000 -1.944 -2.524 4.793" Properties=species:S:1:pos:R:3 pbc="T T T"
Fe 0.000 0.000 0.000
Fe -1.353 2.801 2.218
Fe -0.443 0.352 4.440
Fe 2.644 0.194 2.208
O -1.490 1.160 3.058
O -1.207 4.533 1.334
F -0.120 1.897 0.736
F -0.453 -1.696 3.678
F 0.308 3.534 3.250
F 1.739 4.739 0.758
F 1.442 1.122 3.663
F 2.736 2.161 1.145
```

Results
Crystal system: triclinic
Formation energy in kcal/mol of atoms: -52.903
Spin magnetization in μB/atom: 0.000
ρ in g/cm³: 4.20
Electronic total energy in Ha/atom: -0.21322
Relative energy among the computed polymorphs in meV per atom: 27

No. 4
Compound: Fe6O7F5
Source: the Materials Project
Functional: PBE+U
Structure: optimized geometry

The structure in extended XYZ format:
```
18
Lattice="4.776 0.000 0.000 0.376 5.666 0.000 0.359 0.789 7.690" Properties=species:S:1:pos:R:3 pbc="T T T"
Fe 0.000 0.000 0.000
Fe 0.385 4.030 2.694
Fe 2.565 2.855 0.100
Fe 3.191 5.310 5.296
Fe 2.872 1.347 2.633
Fe 4.990 2.409 5.200
O 1.763 2.855 1.808
O 2.126 5.203 7.049
O 3.822 3.655 6.111
O 3.841 5.314 3.426
O 3.482 1.315 0.783
O 4.221 2.502 3.446
O 4.224 0.820 5.987
F 1.316 5.640 1.823
F 1.404 4.005 4.456
F 1.408 2.370 6.937
F 1.752 1.237 4.438
F 4.178 4.114 0.882
```

Results
Crystal system: triclinic
Formation energy in kcal/mol of atoms: -43.987
Spin magnetization in μB/atom: 1.611
ρ in g/cm³: 4.33
Electronic total energy in Ha/atom: -0.22194
Relative energy among the computed polymorphs in meV per atom: 7